one.
Compound: Ga4B2O9
Source: the Materials Project
Functional: PBE
Structure: optimized geometry

```
Ga4B2O9
1.0
7.650 -2.892 0.000
7.650 2.892 0.000
-7.573 0.000 7.942
Ga B O
8 4 18
direct
0.000 0.000 0.000
0.007 0.007 0.558
0.142 0.142 0.457
0.486 0.988 0.321
0.488 0.992 0.830
0.817 0.817 0.166
0.988 0.486 0.321
0.992 0.488 0.830
0.205 0.205 0.046
0.485 0.485 0.602
0.486 0.486 0.027
0.716 0.716 0.553
0.045 0.469 0.163
0.075 0.075 0.928
0.123 0.123 0.243
0.186 0.186 0.672
0.213 0.630 0.955
0.249 0.249 0.960
0.345 0.756 0.665
0.360 0.360 0.479
0.469 0.045 0.163
0.502 0.914 0.480
0.607 0.607 0.166
0.630 0.213 0.955
0.733 0.733 0.693
0.756 0.345 0.665
0.784 0.784 0.970
0.842 0.842 0.422
0.914 0.502 0.480
0.984 0.984 0.360
```

## Properties
space-group type	Cm (8)



two.
Compound: Ga4B2O9
Source: the Materials Project
Functional: PBE
Structure: optimized geometry

```
Ga4B2O9
1.0
7.992 -2.847 0.000
7.992 2.847 0.000
-7.971 0.000 8.182
Ga B O
8 4 18
direct
0.000 0.500 0.000
0.000 0.500 0.500
0.005 0.005 0.138
0.256 0.256 0.260
0.500 0.000 0.000
0.500 0.000 0.500
0.744 0.744 0.740
0.995 0.995 0.862
0.205 0.205 0.708
0.497 0.497 0.783
0.503 0.503 0.217
0.795 0.795 0.292
0.010 0.595 0.365
0.100 0.100 0.095
0.159 0.159 0.366
0.219 0.219 0.843
0.229 0.659 0.149
0.284 0.284 0.128
0.341 0.771 0.851
0.376 0.376 0.645
0.405 0.990 0.635
0.595 0.010 0.365
0.624 0.624 0.355
0.659 0.229 0.149
0.716 0.716 0.872
0.771 0.341 0.851
0.781 0.781 0.157
0.841 0.841 0.634
0.900 0.900 0.905
0.990 0.405 0.635
```

## Properties
space-group type	C2/m (12)



Short version: two is the least stable of them.



one.
Compound: Ge3B
Source: the Materials Project
Functional: PBE
Structure: optimized geometry

```
Ge3B
1.0
0.000 3.210 3.210
3.210 0.000 3.210
3.210 3.210 0.000
Ge B
3 1
direct
0.000 0.000 0.000
0.250 0.250 0.250
0.750 0.750 0.750
0.500 0.500 0.500
```

## Properties
space-group type	Fm-3m (225)



two.
Compound: Ge3B
Source: the Materials Project
Functional: PBE
Structure: optimized geometry

```
Ge3B
1.0
4.015 0.000 0.000
0.000 4.015 0.000
0.000 0.000 4.015
Ge B
3 1
direct
0.000 0.000 0.500
0.000 0.500 0.000
0.500 0.000 0.000
0.500 0.500 0.500
```

## Properties
space-group type	Pm-3m (221)



Short version: two is the least stable of them.



one.
Compound: B3H5
Source: the Materials Project
Functional: PBE
Structure: optimized geometry

```
B3H5
1.0
11.466 0.000 0.000
0.000 7.126 0.000
-7.716 0.000 11.260
B H
36 60
direct
0.010 0.232 0.130
0.010 0.268 0.630
0.127 0.698 0.341
0.127 0.802 0.841
0.131 0.556 0.450
0.131 0.944 0.950
0.288 0.629 0.469
0.288 0.871 0.969
0.290 0.640 0.927
0.290 0.860 0.427
0.296 0.628 0.601
0.296 0.872 0.101
0.320 0.008 0.545
0.320 0.492 0.045
0.324 0.634 0.152
0.324 0.866 0.652
0.403 0.709 0.082
0.403 0.791 0.582
0.597 0.209 0.418
0.597 0.291 0.918
0.676 0.134 0.348
0.676 0.366 0.848
0.680 0.508 0.955
0.680 0.992 0.455
0.704 0.128 0.899
0.704 0.372 0.399
0.710 0.140 0.573
0.710 0.360 0.073
0.712 0.129 0.031
0.712 0.371 0.531
0.869 0.056 0.050
0.869 0.444 0.550
0.873 0.198 0.159
0.873 0.302 0.659
0.990 0.732 0.370
0.990 0.768 0.870
0.014 0.128 0.581
0.014 0.372 0.081
0.048 0.661 0.821
0.048 0.839 0.321
0.056 0.637 0.479
0.056 0.863 0.979
0.097 0.634 0.249
0.097 0.866 0.749
0.101 0.107 0.932
0.101 0.393 0.432
0.122 0.167 0.204
0.122 0.333 0.704
0.214 0.000 0.430
0.214 0.500 0.930
0.223 0.741 0.625
0.223 0.759 0.125
0.232 0.000 0.582
0.232 0.500 0.082
0.336 0.583 0.873
0.336 0.917 0.373
0.344 0.507 0.449
0.344 0.993 0.949
0.347 0.510 0.675
0.347 0.990 0.175
0.368 0.162 0.567
0.368 0.338 0.067
0.377 0.585 0.252
0.377 0.915 0.752
0.472 0.224 0.367
0.472 0.276 0.867
0.528 0.724 0.133
0.528 0.776 0.633
0.623 0.085 0.248
0.623 0.415 0.748
0.632 0.662 0.933
0.632 0.838 0.433
0.653 0.010 0.825
0.653 0.490 0.325
0.656 0.007 0.051
0.656 0.493 0.551
0.664 0.083 0.627
0.664 0.417 0.127
0.768 0.000 0.418
0.768 0.500 0.918
0.777 0.241 0.875
0.777 0.259 0.375
0.786 0.000 0.570
0.786 0.500 0.070
0.878 0.667 0.296
0.878 0.833 0.796
0.899 0.607 0.568
0.899 0.893 0.068
0.903 0.134 0.251
0.903 0.366 0.751
0.944 0.137 0.021
0.944 0.363 0.521
0.952 0.161 0.679
0.952 0.339 0.179
0.986 0.628 0.919
0.986 0.872 0.419
```

## Properties
space-group type	P2_1/c (14)



two.
Compound: B3H5
Source: the Materials Project
Functional: PBE
Structure: optimized geometry

```
B3H5
1.0
3.859 -4.753 0.000
3.859 4.753 0.000
0.000 0.000 8.898
B H
12 20
direct
0.109 0.525 0.573
0.199 0.801 0.500
0.260 0.740 0.685
0.322 0.465 0.684
0.465 0.322 0.184
0.475 0.891 0.573
0.525 0.109 0.073
0.535 0.678 0.684
0.678 0.535 0.184
0.740 0.260 0.185
0.801 0.199 0.000
0.891 0.475 0.073
0.081 0.571 0.071
0.081 0.919 0.455
0.144 0.609 0.430
0.181 0.819 0.789
0.255 0.393 0.547
0.267 0.316 0.771
0.316 0.267 0.271
0.391 0.856 0.430
0.393 0.255 0.047
0.429 0.919 0.071
0.571 0.081 0.571
0.607 0.745 0.547
0.609 0.144 0.930
0.684 0.733 0.771
0.733 0.684 0.271
0.745 0.607 0.047
0.819 0.181 0.289
0.856 0.391 0.930
0.919 0.081 0.955
0.919 0.429 0.571
```

## Properties
space-group type	Cmc2_1 (36)
largest piezoelectric modulus	0.111	C/m²



Short version: two is the least stable of them.